CoH4SeO5 | GGA+U | optimized geometry

The structure in POSCAR format:
```
CoH4SeO5
1.0
-4.6418 -2.5019 10.1129
5.3249 -1.6811 2.0282
6.4858 6.1425 4.4966
Co H Se O
4 16 4 20
Direct
0.0747 0.2713 0.9058
0.4253 0.2713 0.4058
0.9253 0.7287 0.0942
0.5747 0.7287 0.5942
0.9270 0.2504 0.6609
0.5730 0.2504 0.1609
0.0730 0.7496 0.3391
0.4270 0.7496 0.8391
0.2027 0.3757 0.6369
0.2973 0.3757 0.1369
0.7973 0.6243 0.3631
0.7027 0.6243 0.8631
0.1085 0.6033 0.5800
0.3915 0.6033 0.0800
0.8915 0.3967 0.4200
0.6085 0.3967 0.9200
0.4399 0.0270 0.8230
0.0601 0.0270 0.3230
0.5601 0.9730 0.1770
0.9399 0.9730 0.6770
0.6458 0.2260 0.6470
0.8542 0.2260 0.1470
0.3542 0.7740 0.3530
0.1458 0.7740 0.8530
0.8964 0.1508 0.6172
0.6036 0.1508 0.1172
0.1036 0.8492 0.3828
0.3964 0.8492 0.8828
0.0838 0.8692 0.9792
0.4162 0.8692 0.4792
0.9162 0.1308 0.0208
0.5838 0.1308 0.5208
0.6901 0.5625 0.5164
0.8099 0.5625 0.0164
0.3099 0.4375 0.4836
0.1901 0.4375 0.9836
0.1302 0.4167 0.6755
0.3698 0.4167 0.1755
0.8698 0.5833 0.3245
0.6302 0.5833 0.8245
0.4777 0.6990 0.2869
0.0223 0.6990 0.7869
0.5223 0.3010 0.7131
0.9777 0.3010 0.2131
```

Values from the calculation:
- Uncorrected energy: -0.1916 Ha/atom
- Formation enthalpy at 0 K: -1.228 eV/atom
- ΔE to the lowest computed polymorph: 58.0 meV per atom
- M_tot: 12.00 μB/cell
- Volume: 140 Å³/f.u.